1.
Material: NaH8SNO6
Method: DFT, GGA-PBE
State: optimized geometry

Cell: 6.4182 8.2098 12.8856 Å, 90.00 90.00 90.00°
Atoms (fractional coordinates):
O 0.1991 0.2939 0.3668
S 0.1253 0.9068 0.6265
O 0.8707 0.2440 0.9230
H 0.4944 0.7435 0.6565
O 0.8009 0.7939 0.1332
H 0.5056 0.2435 0.8435
O 0.1439 0.0341 0.5447
O 0.9226 0.9279 0.6842
O 0.5774 0.0721 0.1842
N 0.3696 0.1765 0.8508
H 0.1214 0.4068 0.6745
H 0.6326 0.6173 0.5782
H 0.6214 0.0932 0.3255
S 0.6253 0.5932 0.3735
H 0.2883 0.7826 0.8077
Na 0.4178 0.2340 0.5154
O 0.6971 0.4206 0.7979
Na 0.5822 0.7340 0.9846
O 0.6613 0.0852 0.3993
H 0.7117 0.2826 0.6923
H 0.8428 0.0336 0.9120
H 0.3674 0.1173 0.9218
H 0.2280 0.6053 0.8450
H 0.7280 0.8947 0.1550
N 0.6304 0.6765 0.6492
O 0.8387 0.9148 0.8993
O 0.1613 0.4148 0.6007
O 0.0774 0.4279 0.8158
H 0.1572 0.5336 0.5880
H 0.7720 0.1053 0.6550
O 0.8561 0.5341 0.9553
H 0.7465 0.2404 0.1530
H 0.9944 0.7565 0.3435
O 0.1971 0.0794 0.2021
H 0.2465 0.2596 0.8470
S 0.8747 0.4068 0.8735
Na 0.0822 0.7660 0.0154
O 0.1293 0.7440 0.5770
O 0.6991 0.2061 0.6332
Na 0.9178 0.2660 0.4846
O 0.3707 0.2560 0.0770
O 0.4226 0.5721 0.3158
O 0.6439 0.4659 0.4553
H 0.7535 0.7597 0.6530
H 0.3556 0.0920 0.7908
O 0.3029 0.9206 0.7021
H 0.1444 0.9080 0.2908
N 0.8696 0.3235 0.1492
H 0.8674 0.3827 0.0782
H 0.8786 0.9068 0.8255
H 0.3428 0.4664 0.0880
H 0.6444 0.5920 0.7092
H 0.0056 0.2565 0.1565
N 0.1304 0.8235 0.3508
H 0.3786 0.5932 0.1745
H 0.2720 0.3947 0.3450
H 0.7883 0.7174 0.1923
S 0.3747 0.0932 0.1265
H 0.2117 0.2174 0.3077
H 0.8556 0.4080 0.2092
H 0.6572 0.9664 0.4120
H 0.1326 0.8827 0.4218
O 0.8029 0.5794 0.2979
O 0.3561 0.9659 0.0447
O 0.3387 0.5852 0.1007
H 0.2535 0.7403 0.3470
O 0.6293 0.7560 0.4230
O 0.3009 0.7061 0.8668

Results
As for the space group: P2_12_12_1, No. 19. The value obtained for the maximum piezoelectric response is 0.12 C/m². For the calculated volume, the calculation gives 9.98 Å³/atom.


2.
Material: TmMgZn2
Method: DFT, GGA-PBE
State: optimized geometry

Cell: 4.7979 4.7979 4.7979 Å, 60.00 60.00 60.00°
Atoms (fractional coordinates):
Zn 0.2500 0.2500 0.2500
Zn 0.7500 0.7500 0.7500
Tm 0.0000 0.0000 0.0000
Mg 0.5000 0.5000 0.5000

Results
As for the space group: Fm-3m, No. 225. For the calculated volume, the calculation gives 19.52 Å³/atom.


Number 1: formation enthalpy at 0 K -1.36 eV per atom. Number 2: formation enthalpy at 0 K -0.33 eV per atom.